Entry 1:
Density functional theory data (PBE+U) for MgCrBiO5 after structural relaxation.

Results
**Energy of formation**: -2.093 eV/atom
**Total moment**: 4.0 Bohr magnetons per cell
**ΔE to the lowest computed polymorph**: 0.000 eV/atom
**Calculated density**: 5.22 g cm⁻³

Cell and atoms, written as CIF:
```
data_MgCrBiO5
_cell_length_a 5.3955
_cell_length_b 11.7121
_cell_length_c 7.9430
_cell_angle_alpha 90.00
_cell_angle_beta 112.12
_cell_angle_gamma 90.00
_symmetry_space_group_name_H-M 'P 1 21/c 1'
_symmetry_Int_Tables_number 14
loop_
_symmetry_equiv_pos_as_xyz
'x,y,z'
'-x,-y,-z'
'-x,y+1/2,-z+1/2'
'x,-y+1/2,z+1/2'
loop_
_atom_site_label
_atom_site_type_symbol
_atom_site_fract_x
_atom_site_fract_y
_atom_site_fract_z
Mg1 Mg 0.0478 0.0793 0.1767
Cr1 Cr 0.3148 0.6477 0.0301
Bi1 Bi 0.4460 0.0972 0.8258
O1 O 0.1838 0.7148 0.4829
O2 O 0.2074 0.5676 0.1737
O3 O 0.2502 0.5730 0.8303
O4 O 0.2563 0.0256 0.0135
O5 O 0.3522 0.1747 0.3549
```



Entry 2:
Density functional theory data (PBE+U) for CrSiH8O4F6 after structural relaxation.

Results
**Energy of formation**: -2.080 eV/atom
**Total moment**: 8.0 Bohr magnetons per cell
**Calculated density**: 2.25 g cm⁻³

Cell and atoms, written as CIF:
```
data_CrSiH8O4F6
_cell_length_a 5.5556
_cell_length_b 9.8743
_cell_length_c 7.4033
_cell_angle_alpha 90.00
_cell_angle_beta 105.04
_cell_angle_gamma 90.00
_symmetry_space_group_name_H-M 'P 1 21/c 1'
_symmetry_Int_Tables_number 14
loop_
_symmetry_equiv_pos_as_xyz
'x,y,z'
'-x,-y,-z'
'-x,y+1/2,-z+1/2'
'x,-y+1/2,z+1/2'
loop_
_atom_site_label
_atom_site_type_symbol
_atom_site_fract_x
_atom_site_fract_y
_atom_site_fract_z
Cr1 Cr 0.0000 0.0000 0.0000
Si1 Si 0.5000 0.0000 0.5000
H1 H 0.2245 0.1462 0.7825
H2 H 0.2259 0.2367 0.9594
H3 H 0.2417 0.7279 0.4481
H4 H 0.2539 0.6277 0.2825
O1 O 0.1328 0.1646 0.8774
O2 O 0.2406 0.6316 0.4129
F1 F 0.2792 0.6096 0.0456
F2 F 0.3057 0.0406 0.2908
F3 F 0.3762 0.1324 0.6031
```



Entry 3:
Density functional theory data (PBE+U) for Ca2FeOsO6 after structural relaxation.

Results
**Energy of formation**: -2.330 eV/atom
**Total moment**: 15.5 Bohr magnetons per cell
**Calculated density**: 5.93 g cm⁻³

Cell and atoms, written as CIF:
```
data_Ca2FeOsO6
_cell_length_a 5.4497
_cell_length_b 5.5824
_cell_length_c 9.4864
_cell_angle_alpha 90.00
_cell_angle_beta 125.04
_cell_angle_gamma 90.00
_symmetry_space_group_name_H-M 'P 1 21/c 1'
_symmetry_Int_Tables_number 14
loop_
_symmetry_equiv_pos_as_xyz
'x,y,z'
'-x,-y,-z'
'-x,y+1/2,-z+1/2'
'x,-y+1/2,z+1/2'
loop_
_atom_site_label
_atom_site_type_symbol
_atom_site_fract_x
_atom_site_fract_y
_atom_site_fract_z
Ca1 Ca 0.2380 0.0499 0.2490
Fe1 Fe 0.0000 0.0000 0.5000
Os1 Os 0.5000 0.0000 0.0000
O1 O 0.1611 0.2020 0.9552
O2 O 0.2545 0.7077 0.9525
O3 O 0.3405 0.0261 0.7526
```



Entry 4:
Density functional theory data (PBE+U) for CaV6O11F after structural relaxation.

Results
**Energy of formation**: -2.516 eV/atom
**Total moment**: 9.0 Bohr magnetons per cell
**ΔE to the lowest computed polymorph**: 0.003 eV/atom
**Calculated density**: 3.90 g cm⁻³

Cell and atoms, written as CIF:
```
data_CaV6O11F
_cell_length_a 5.1759
_cell_length_b 5.3892
_cell_length_c 8.5716
_cell_angle_alpha 86.32
_cell_angle_beta 87.28
_cell_angle_gamma 74.95
_symmetry_space_group_name_H-M 'P 1'
_symmetry_Int_Tables_number 1
loop_
_symmetry_equiv_pos_as_xyz
'x,y,z'
loop_
_atom_site_label
_atom_site_type_symbol
_atom_site_fract_x
_atom_site_fract_y
_atom_site_fract_z
Ca1 Ca 0.0000 0.0000 0.0000
V1 V 0.1657 0.4367 0.2819
V2 V 0.1715 0.4358 0.5963
V3 V 0.1997 0.4392 0.9428
V4 V 0.5686 0.8253 0.1478
V5 V 0.5757 0.8322 0.7661
V6 V 0.7551 0.0285 0.4442
O1 O 0.3306 0.6168 0.1010
O2 O 0.3367 0.5740 0.4246
O3 O 0.3507 0.6285 0.7627
O4 O 0.4394 0.0710 0.9500
O5 O 0.4792 0.1184 0.2850
O6 O 0.4814 0.1195 0.6146
O7 O 0.8250 0.6948 0.9327
O8 O 0.8514 0.7429 0.6046
O9 O 0.8826 0.7831 0.2762
O10 O 0.9682 0.2471 0.4499
O11 O 0.9988 0.3244 0.1302
F1 F 0.0104 0.2688 0.7839
```